{"formula": "Li3CoPCO7", "functional": "PBE with a Hubbard U", "state": "relaxed", "lattice": [[8.6497, 0.0000, 0.0000], [0.0000, 6.3703, 0.0000], [-0.8866, 0.0000, 9.6262]], "species": ["Li", "Li", "Li", "Li", "Li", "Li", "Li", "Li", "Li", "Li", "Li", "Li", "Co", "Co", "Co", "Co", "P", "P", "P", "P", "C", "C", "C", "C", "O", "O", "O", "O", "O", "O", "O", "O", "O", "O", "O", "O", "O", "O", "O", "O", "O", "O", "O", "O", "O", "O", "O", "O", "O", "O", "O", "O"], "frac_coords": [[0.1131, 0.2416, 0.3553], [0.1131, 0.2584, 0.8553], [0.2812, 0.5070, 0.6228], [0.2812, 0.9930, 0.1228], [0.3609, 0.7497, 0.3625], [0.3609, 0.7503, 0.8625], [0.6391, 0.2497, 0.1375], [0.6391, 0.2503, 0.6375], [0.7188, 0.0070, 0.8772], [0.7188, 0.4930, 0.3772], [0.8869, 0.7416, 0.1447], [0.8869, 0.7584, 0.6447], [0.2605, 0.0032, 0.6218], [0.2605, 0.4968, 0.1218], [0.7395, 0.5032, 0.8782], [0.7395, 0.9968, 0.3782], [0.4069, 0.2378, 0.3864], [0.4069, 0.2622, 0.8864], [0.5931, 0.7378, 0.1136], [0.5931, 0.7622, 0.6136], [0.0478, 0.7457, 0.9018], [0.0478, 0.7543, 0.4018], [0.9522, 0.2457, 0.5982], [0.9522, 0.2543, 0.0982], [0.0644, 0.7304, 0.2734], [0.0644, 0.7696, 0.7734], [0.0925, 0.2181, 0.5561], [0.0925, 0.2819, 0.0561], [0.1661, 0.7481, 0.4953], [0.1661, 0.7519, 0.9953], [0.3058, 0.0527, 0.3277], [0.3058, 0.4473, 0.8277], [0.3154, 0.0619, 0.8329], [0.3154, 0.4381, 0.3329], [0.4134, 0.2339, 0.5490], [0.4134, 0.2661, 0.0490], [0.4257, 0.7387, 0.1570], [0.4257, 0.7613, 0.6570], [0.5743, 0.2387, 0.3430], [0.5743, 0.2613, 0.8430], [0.5866, 0.7339, 0.9510], [0.5866, 0.7661, 0.4510], [0.6846, 0.5619, 0.6671], [0.6846, 0.9381, 0.1671], [0.6942, 0.5527, 0.1723], [0.6942, 0.9473, 0.6723], [0.8339, 0.2481, 0.0047], [0.8339, 0.2519, 0.5047], [0.9075, 0.7181, 0.9439], [0.9075, 0.7819, 0.4439], [0.9356, 0.2304, 0.2266], [0.9356, 0.2696, 0.7266]], "m_tot_mub_per_fu": 3.00, "polymorph_energy_ev_per_atom": 0.026, "space_group": "P2_1/c", "ef_ev_per_fu": -29.5, "dft_energy_ev_per_cell": -340.80}



{"formula": "Li3CoPCO7", "functional": "PBE with a Hubbard U", "state": "relaxed", "lattice": [[8.4879, 0.0000, 0.0000], [0.0000, 6.3886, 0.0000], [-0.8561, 0.0000, 9.8140]], "species": ["Li", "Li", "Li", "Li", "Li", "Li", "Li", "Li", "Li", "Li", "Li", "Li", "Co", "Co", "Co", "Co", "P", "P", "P", "P", "C", "C", "C", "C", "O", "O", "O", "O", "O", "O", "O", "O", "O", "O", "O", "O", "O", "O", "O", "O", "O", "O", "O", "O", "O", "O", "O", "O", "O", "O", "O", "O"], "frac_coords": [[0.0980, 0.2482, 0.1178], [0.0980, 0.2518, 0.6178], [0.2801, 0.0136, 0.8812], [0.2801, 0.4864, 0.3812], [0.3464, 0.7461, 0.6099], [0.3464, 0.7539, 0.1099], [0.6536, 0.2461, 0.8901], [0.6536, 0.2539, 0.3901], [0.7199, 0.5136, 0.6188], [0.7199, 0.9864, 0.1188], [0.9020, 0.7482, 0.3822], [0.9020, 0.7518, 0.8822], [0.2751, 0.0061, 0.3765], [0.2751, 0.4939, 0.8765], [0.7249, 0.5061, 0.1235], [0.7249, 0.9939, 0.6235], [0.4088, 0.2478, 0.1401], [0.4088, 0.2522, 0.6401], [0.5912, 0.7478, 0.3599], [0.5912, 0.7522, 0.8599], [0.0379, 0.7494, 0.6481], [0.0379, 0.7506, 0.1481], [0.9621, 0.2494, 0.8519], [0.9621, 0.2506, 0.3519], [0.0694, 0.7450, 0.0234], [0.0694, 0.7550, 0.5234], [0.1109, 0.2403, 0.3204], [0.1109, 0.2597, 0.8204], [0.1475, 0.7340, 0.7474], [0.1475, 0.7660, 0.2474], [0.3101, 0.0585, 0.5847], [0.3101, 0.4415, 0.0847], [0.3137, 0.0571, 0.0851], [0.3137, 0.4429, 0.5851], [0.4204, 0.7451, 0.9059], [0.4204, 0.7549, 0.4059], [0.4212, 0.2474, 0.2995], [0.4212, 0.2526, 0.7995], [0.5788, 0.7474, 0.2005], [0.5788, 0.7526, 0.7005], [0.5796, 0.2451, 0.5941], [0.5796, 0.2549, 0.0941], [0.6863, 0.5571, 0.4149], [0.6863, 0.9429, 0.9149], [0.6899, 0.5585, 0.9153], [0.6899, 0.9415, 0.4153], [0.8525, 0.2340, 0.7526], [0.8525, 0.2660, 0.2526], [0.8891, 0.7403, 0.1796], [0.8891, 0.7597, 0.6796], [0.9306, 0.2450, 0.4766], [0.9306, 0.2550, 0.9766]], "m_tot_mub_per_fu": 3.00, "polymorph_energy_ev_per_atom": 0.032, "space_group": "P2_1/c", "ef_ev_per_fu": -29.5, "dft_energy_ev_per_cell": -340.46}



{"formula": "Li3CoPCO7", "functional": "PBE with a Hubbard U", "state": "relaxed", "lattice": [[4.9944, 0.0000, 0.2511], [0.0000, 6.4311, 0.0001], [0.9965, 0.0002, 16.9409]], "species": ["Co", "O", "O", "O", "Co", "O", "Li", "Li", "O", "Li", "O", "P", "Li", "C", "Li", "O", "O", "Li", "O", "O", "Li", "C", "Li", "Co", "O", "O", "O", "O", "O", "O", "O", "O", "O", "O", "Li", "Co", "O", "P", "O", "Li", "C", "O", "O", "P", "P", "Li", "O", "O", "O", "C", "Li", "O"], "frac_coords": [[0.7876, 0.7500, 0.1661], [0.9271, 0.7500, 0.0340], [0.8385, 0.0623, 0.1528], [0.4962, 0.7500, 0.0823], [0.2124, 0.2500, 0.8339], [0.1615, 0.9377, 0.8472], [0.2679, 0.4844, 0.6371], [0.2059, 0.7500, 0.9478], [0.5038, 0.2500, 0.4177], [0.7319, 0.9844, 0.3630], [0.5038, 0.2499, 0.9177], [0.7330, 0.2500, 0.2056], [0.2681, 0.4844, 0.1371], [0.3222, 0.2500, 0.9795], [0.7320, 0.5156, 0.8629], [0.1615, 0.9377, 0.3472], [0.1615, 0.5623, 0.3472], [0.2059, 0.7500, 0.4478], [0.3937, 0.2500, 0.0507], [0.9271, 0.7498, 0.5340], [0.7941, 0.2500, 0.0522], [0.6778, 0.7500, 0.0205], [0.7319, 0.5156, 0.3630], [0.7876, 0.7499, 0.6661], [0.8361, 0.2500, 0.7878], [0.0729, 0.2500, 0.4660], [0.8385, 0.4377, 0.1528], [0.8386, 0.4376, 0.6528], [0.1615, 0.5624, 0.8472], [0.1639, 0.7500, 0.7122], [0.6063, 0.7500, 0.4493], [0.4961, 0.7503, 0.5823], [0.4184, 0.2500, 0.7165], [0.8361, 0.2500, 0.2878], [0.2682, 0.0156, 0.6371], [0.2124, 0.2500, 0.3339], [0.6063, 0.7500, 0.9493], [0.2670, 0.7500, 0.2944], [0.0729, 0.2501, 0.9660], [0.7941, 0.2500, 0.5522], [0.6778, 0.7500, 0.5205], [0.8385, 0.0623, 0.6528], [0.1639, 0.7500, 0.2122], [0.2670, 0.7500, 0.7944], [0.7330, 0.2500, 0.7056], [0.2680, 0.0156, 0.1371], [0.3937, 0.2500, 0.5507], [0.5816, 0.7500, 0.7835], [0.4185, 0.2500, 0.2165], [0.3222, 0.2500, 0.4795], [0.7319, 0.9844, 0.8629], [0.5816, 0.7500, 0.2835]], "m_tot_mub_per_fu": 0.00, "polymorph_energy_ev_per_atom": 0.000, "ef_ev_per_fu": -29.9, "dft_energy_ev_per_cell": -342.15}



{"formula": "Li3CoPCO7", "functional": "PBE with a Hubbard U", "state": "relaxed", "lattice": [[0.1176, 5.0754, 0.0004], [-8.4539, -0.0975, 6.5272], [8.4533, 0.0983, 6.5266]], "species": ["O", "O", "C", "Li", "C", "Co", "Li", "Li", "O", "O", "C", "O", "O", "Li", "O", "Li", "Co", "O", "O", "O", "Li", "O", "O", "O", "O", "P", "O", "O", "Co", "O", "O", "Li", "Li", "O", "Li", "P", "O", "C", "O", "Li", "O", "Li", "O", "O", "P", "Li", "Co", "O", "O", "O", "O", "P"], "frac_coords": [[0.9045, 0.1358, 0.6372], [0.6231, 0.6069, 0.5946], [0.4619, 0.6813, 0.5583], [0.0428, 0.2654, 0.2588], [0.4619, 0.1813, 0.0583], [0.9529, 0.2593, 0.9800], [0.5795, 0.4483, 0.2581], [0.5593, 0.2133, 0.6810], [0.7898, 0.3350, 0.4238], [0.6539, 0.9267, 0.2974], [0.5381, 0.3082, 0.4313], [0.6231, 0.1069, 0.0946], [0.5473, 0.2653, 0.9967], [0.5795, 0.9482, 0.7580], [0.6538, 0.4267, 0.7973], [0.4203, 0.5082, 0.6983], [0.0471, 0.2299, 0.5093], [0.9274, 0.9035, 0.6612], [0.9273, 0.4035, 0.1612], [0.9680, 0.5859, 0.3519], [0.0428, 0.7655, 0.7588], [0.0725, 0.4112, 0.6535], [0.9683, 0.0859, 0.8519], [0.7899, 0.8351, 0.9238], [0.4526, 0.2467, 0.5153], [0.0451, 0.5441, 0.2051], [0.2101, 0.6738, 0.5851], [0.9044, 0.6358, 0.1372], [0.0471, 0.7299, 0.0093], [0.3462, 0.0472, 0.6765], [0.0323, 0.1018, 0.3359], [0.9572, 0.0087, 0.0154], [0.4204, 0.0081, 0.1984], [0.0320, 0.6019, 0.8359], [0.4406, 0.4310, 0.9634], [0.9548, 0.4551, 0.7941], [0.0955, 0.3872, 0.8857], [0.5382, 0.8083, 0.9313], [0.3770, 0.8445, 0.8568], [0.9572, 0.5087, 0.5154], [0.0956, 0.8872, 0.3857], [0.4407, 0.9311, 0.4634], [0.2101, 0.1738, 0.0851], [0.5474, 0.7654, 0.4968], [0.0453, 0.0441, 0.7051], [0.5592, 0.7133, 0.1810], [0.9529, 0.7593, 0.4800], [0.3768, 0.3446, 0.3569], [0.4527, 0.7467, 0.0153], [0.3461, 0.5473, 0.1766], [0.0726, 0.9111, 0.1535], [0.9549, 0.9551, 0.2941]], "m_tot_mub_per_fu": 0.00, "polymorph_energy_ev_per_atom": 0.000, "ef_ev_per_fu": -29.9, "dft_energy_ev_per_cell": -342.14}



{"formula": "LiCoPCO7", "functional": "PBE with a Hubbard U", "state": "relaxed", "lattice": [[5.0319, 0.0000, 0.0000], [0.0000, 6.0711, 0.0000], [-0.6305, 0.0000, 8.5765]], "species": ["Li", "Li", "Co", "Co", "P", "P", "C", "C", "O", "O", "O", "O", "O", "O", "O", "O", "O", "O", "O", "O", "O", "O"], "frac_coords": [[0.2198, 0.0000, 0.2796], [0.7802, 0.5000, 0.7204], [0.2092, 0.2597, 0.8343], [0.7908, 0.7597, 0.1657], [0.2782, 0.7648, 0.9297], [0.7218, 0.2648, 0.0703], [0.2746, 0.2589, 0.5663], [0.7254, 0.7589, 0.4337], [0.0402, 0.2632, 0.6256], [0.1375, 0.7753, 0.0824], [0.1804, 0.5704, 0.8216], [0.2080, 0.9593, 0.8154], [0.3166, 0.2349, 0.4282], [0.4164, 0.2496, 0.0317], [0.4640, 0.2769, 0.6824], [0.5360, 0.7769, 0.3176], [0.5836, 0.7496, 0.9683], [0.6834, 0.7349, 0.5718], [0.7920, 0.4593, 0.1846], [0.8196, 0.0704, 0.1784], [0.8625, 0.2753, 0.9176], [0.9598, 0.7632, 0.3744]], "m_tot_mub_per_fu": 1.00, "space_group": "P2_1", "ef_ev_per_fu": -21.6, "dft_energy_ev_per_cell": -146.85}



{"formula": "Li3CoPCO7", "functional": "PBE with a Hubbard U", "state": "relaxed", "lattice": [[4.9099, 0.0000, 0.0000], [-0.7739, 8.5734, 0.0000], [-0.0372, -0.0161, 12.7582]], "species": ["Li", "Li", "Li", "Li", "Li", "Li", "Li", "Li", "Li", "Li", "Li", "Li", "Co", "Co", "Co", "Co", "P", "P", "P", "P", "C", "C", "C", "C", "O", "O", "O", "O", "O", "O", "O", "O", "O", "O", "O", "O", "O", "O", "O", "O", "O", "O", "O", "O", "O", "O", "O", "O", "O", "O", "O", "O"], "frac_coords": [[0.0000, 0.0000, 0.0000], [0.9997, 0.9996, 0.5003], [0.0023, 0.7494, 0.2622], [0.0025, 0.7501, 0.7611], [0.0297, 0.3566, 0.1246], [0.0296, 0.3569, 0.6245], [0.5374, 0.9239, 0.8682], [0.5382, 0.9238, 0.3685], [0.5592, 0.5314, 0.5141], [0.5614, 0.2834, 0.7506], [0.5608, 0.5302, 0.0133], [0.5616, 0.2829, 0.2503], [0.0379, 0.3763, 0.3784], [0.0415, 0.3811, 0.8806], [0.5235, 0.9099, 0.6269], [0.5251, 0.9082, 0.1270], [0.0559, 0.0491, 0.7544], [0.0576, 0.0487, 0.2541], [0.5070, 0.2320, 0.5026], [0.5075, 0.2316, 0.0020], [0.0780, 0.6814, 0.5113], [0.0776, 0.6824, 0.0112], [0.4833, 0.5982, 0.7594], [0.4828, 0.5988, 0.2594], [0.1557, 0.5387, 0.5010], [0.1568, 0.5396, 0.9999], [0.1879, 0.2252, 0.9938], [0.1876, 0.2256, 0.4942], [0.2662, 0.7975, 0.0195], [0.2674, 0.7965, 0.5204], [0.2940, 0.4823, 0.2642], [0.2953, 0.4809, 0.7629], [0.3753, 0.0546, 0.7447], [0.3767, 0.0552, 0.2445], [0.4052, 0.7408, 0.7518], [0.4053, 0.7416, 0.2512], [0.5900, 0.0618, 0.0020], [0.5899, 0.0622, 0.5017], [0.6105, 0.3276, 0.0989], [0.6106, 0.3278, 0.5992], [0.6303, 0.3254, 0.4064], [0.6299, 0.3260, 0.9064], [0.7358, 0.5759, 0.2603], [0.7369, 0.5758, 0.7613], [0.8248, 0.7043, 0.0118], [0.8256, 0.7050, 0.5102], [0.9295, 0.9578, 0.6574], [0.9302, 0.9586, 0.1571], [0.9569, 0.9496, 0.8498], [0.9580, 0.9498, 0.3496], [0.9728, 0.2182, 0.7566], [0.9747, 0.2181, 0.2558]], "m_tot_mub_per_fu": 0.00, "polymorph_energy_ev_per_atom": 0.028, "space_group": "P1", "ef_ev_per_fu": -29.5, "dft_energy_ev_per_cell": -340.68}



{"formula": "Li3CoPCO7", "functional": "PBE with a Hubbard U", "state": "relaxed", "lattice": [[4.9776, 0.0000, 0.0000], [-0.7273, 8.4093, 0.0000], [-0.0116, -0.0710, 12.9214]], "species": ["Li", "Li", "Li", "Li", "Li", "Li", "Li", "Li", "Li", "Li", "Li", "Li", "Co", "Co", "Co", "Co", "P", "P", "P", "P", "C", "C", "C", "C", "O", "O", "O", "O", "O", "O", "O", "O", "O", "O", "O", "O", "O", "O", "O", "O", "O", "O", "O", "O", "O", "O", "O", "O", "O", "O", "O", "O"], "frac_coords": [[0.0000, 0.0000, 0.0000], [0.0007, 0.0013, 0.5073], [0.4556, 0.4470, 0.9978], [0.4660, 0.2007, 0.7585], [0.4695, 0.1971, 0.2538], [0.4796, 0.8182, 0.1106], [0.4817, 0.8201, 0.3930], [0.4837, 0.8192, 0.8919], [0.4844, 0.8238, 0.6223], [0.9826, 0.3722, 0.3767], [0.9867, 0.3781, 0.6440], [0.9990, 0.3797, 0.8691], [0.0260, 0.7660, 0.7546], [0.0279, 0.7655, 0.2535], [0.4433, 0.4315, 0.5053], [0.9882, 0.3604, 0.1256], [0.5075, 0.5119, 0.2528], [0.5118, 0.5107, 0.7549], [0.9496, 0.6854, 0.0058], [0.9542, 0.6861, 0.5032], [0.5297, 0.1394, 0.0105], [0.5328, 0.1363, 0.5021], [0.9372, 0.0608, 0.7537], [0.9392, 0.0618, 0.2518], [0.0564, 0.5184, 0.0054], [0.0583, 0.7891, 0.4090], [0.0600, 0.5195, 0.5031], [0.0599, 0.7911, 0.5965], [0.0620, 0.7868, 0.9120], [0.0619, 0.7900, 0.0994], [0.1850, 0.0262, 0.7536], [0.1856, 0.0284, 0.2550], [0.2812, 0.1699, 0.0109], [0.2856, 0.1720, 0.5028], [0.3912, 0.4091, 0.1604], [0.4064, 0.6784, 0.7533], [0.4077, 0.4073, 0.6594], [0.4105, 0.4087, 0.8474], [0.4115, 0.6804, 0.2558], [0.4138, 0.4094, 0.3484], [0.5950, 0.9905, 0.5037], [0.5966, 0.9936, 0.0036], [0.6405, 0.6663, 0.5026], [0.6396, 0.6709, 0.0060], [0.7218, 0.2558, 0.0144], [0.7234, 0.2532, 0.4996], [0.7467, 0.9497, 0.2547], [0.7486, 0.9423, 0.7538], [0.8239, 0.5271, 0.2458], [0.8272, 0.5326, 0.7526], [0.8724, 0.2059, 0.7541], [0.8788, 0.2112, 0.2466]], "m_tot_mub_per_fu": 3.00, "polymorph_energy_ev_per_atom": 0.026, "space_group": "P1", "ef_ev_per_fu": -29.5, "dft_energy_ev_per_cell": -340.81}



{"formula": "Li3CoPCO7", "functional": "PBE with a Hubbard U", "state": "relaxed", "lattice": [[9.4489, 0.0000, 0.0000], [0.0000, 6.3921, 0.0000], [-4.1757, 0.0000, 8.7912]], "species": ["Li", "Li", "Li", "Li", "Li", "Li", "Li", "Li", "Li", "Li", "Li", "Li", "Co", "Co", "Co", "Co", "P", "P", "P", "P", "C", "C", "C", "C", "O", "O", "O", "O", "O", "O", "O", "O", "O", "O", "O", "O", "O", "O", "O", "O", "O", "O", "O", "O", "O", "O", "O", "O", "O", "O", "O", "O"], "frac_coords": [[0.1077, 0.2414, 0.4427], [0.1077, 0.2586, 0.9427], [0.2817, 0.5007, 0.2637], [0.2817, 0.9993, 0.7637], [0.3550, 0.7471, 0.0655], [0.3550, 0.7529, 0.5655], [0.6450, 0.2471, 0.4345], [0.6450, 0.2529, 0.9345], [0.7183, 0.0007, 0.2363], [0.7183, 0.4993, 0.7363], [0.8923, 0.7414, 0.0573], [0.8923, 0.7586, 0.5573], [0.2653, 0.0077, 0.2588], [0.2653, 0.4923, 0.7588], [0.7347, 0.5077, 0.2412], [0.7347, 0.9923, 0.7412], [0.4084, 0.2416, 0.5660], [0.4084, 0.2584, 0.0660], [0.5916, 0.7416, 0.9340], [0.5916, 0.7584, 0.4340], [0.0431, 0.7403, 0.3714], [0.0431, 0.7597, 0.8714], [0.9569, 0.2403, 0.1286], [0.9569, 0.2597, 0.6286], [0.0664, 0.7350, 0.5106], [0.0664, 0.7650, 0.0106], [0.1024, 0.2316, 0.2382], [0.1024, 0.2684, 0.7382], [0.1575, 0.7461, 0.8318], [0.1575, 0.7539, 0.3318], [0.3059, 0.0576, 0.5726], [0.3059, 0.4424, 0.0726], [0.3164, 0.0585, 0.0730], [0.3164, 0.4415, 0.5730], [0.4182, 0.2375, 0.4092], [0.4182, 0.2625, 0.9092], [0.4231, 0.7408, 0.8049], [0.4231, 0.7592, 0.3049], [0.5769, 0.2408, 0.6951], [0.5769, 0.2592, 0.1951], [0.5818, 0.7375, 0.0908], [0.5818, 0.7625, 0.5908], [0.6836, 0.5585, 0.4270], [0.6836, 0.9415, 0.9270], [0.6941, 0.5576, 0.9274], [0.6941, 0.9424, 0.4274], [0.8425, 0.2461, 0.6682], [0.8425, 0.2539, 0.1682], [0.8976, 0.7316, 0.2618], [0.8976, 0.7684, 0.7618], [0.9336, 0.2350, 0.9894], [0.9336, 0.2650, 0.4894]], "m_tot_mub_per_fu": 3.00, "polymorph_energy_ev_per_atom": 0.046, "space_group": "P2_1/c", "ef_ev_per_fu": -29.3, "dft_energy_ev_per_cell": -339.75}



- What is the formula in the fifth record?
  LiCoPCO7